Material: Mg2IrAu
Method: DFT, GGA-PBE
State: relaxed

Cell lengths 6.399, 6.399, 6.399 Å; angles 90.00, 90.00, 90.00 degrees
Space group Fm-3m (No. 225)
Symmetry-distinct sites (fractional):
Mg 0.250 0.250 0.250 [8 per cell]
Ir 0.000 0.000 0.000 [4 per cell]
Au 0.000 0.000 0.500 [4 per cell]

Summary:
Magnetic moment   0.001 μB/f.u.
Mass density   11.1 g/cm³
ΔE_f   -0.44 eV per atom
DFT total energy   -4.270 eV per atom

Material: Na6Ca7ZrS12O48
Method: DFT, GGA-PBE
State: relaxed

Cell lengths 9.203, 15.960, 24.161 Å; angles 90.02, 90.07, 90.02 degrees
Space group P1 (No. 1)
Symmetry-distinct sites (fractional):
Na 0.000 0.000 0.000 [1 per cell]
Na 0.001 0.337 0.666 [1 per cell]
Na 0.181 0.820 0.499 [1 per cell]
Na 0.305 0.649 0.920 [1 per cell]
Na 0.320 0.322 0.249 [1 per cell]
Na 0.327 0.646 0.417 [1 per cell]
Na 0.330 0.994 0.576 [1 per cell]
Na 0.333 0.326 0.753 [1 per cell]
Na 0.336 0.984 0.079 [1 per cell]
Na 0.639 0.666 0.831 [1 per cell]
Na 0.682 0.321 0.500 [1 per cell]
Na 0.805 0.159 0.912 [1 per cell]
Na 0.812 0.498 0.076 [1 per cell]
Na 0.817 0.505 0.584 [1 per cell]
Na 0.819 0.820 0.248 [1 per cell]
Na 0.827 0.146 0.416 [1 per cell]
Na 0.827 0.822 0.745 [1 per cell]
Na 0.958 0.322 0.997 [1 per cell]
Ca 0.311 0.650 0.763 [1 per cell]
Ca 0.314 0.321 0.396 [1 per cell]
Ca 0.320 0.654 0.265 [1 per cell]
Ca 0.322 0.654 0.067 [1 per cell]
Ca 0.323 0.320 0.898 [1 per cell]
Ca 0.324 0.321 0.597 [1 per cell]
Ca 0.324 0.992 0.432 [1 per cell]
Ca 0.325 0.321 0.100 [1 per cell]
Ca 0.325 0.650 0.568 [1 per cell]
Ca 0.329 0.986 0.932 [1 per cell]
Ca 0.810 0.155 0.072 [1 per cell]
Ca 0.812 0.820 0.599 [1 per cell]
Ca 0.814 0.820 0.396 [1 per cell]
Ca 0.816 0.489 0.733 [1 per cell]
Ca 0.817 0.817 0.100 [1 per cell]
Ca 0.819 0.156 0.767 [1 per cell]
Ca 0.819 0.491 0.931 [1 per cell]
Ca 0.820 0.155 0.265 [1 per cell]
Ca 0.821 0.145 0.567 [1 per cell]
Ca 0.824 0.823 0.899 [1 per cell]
Ca 0.825 0.492 0.433 [1 per cell]
Zr 0.319 0.987 0.232 [1 per cell]
Zr 0.320 0.987 0.732 [1 per cell]
Zr 0.820 0.488 0.232 [1 per cell]
S 0.016 0.320 0.500 [1 per cell]
S 0.017 0.651 0.168 [1 per cell]
S 0.029 0.987 0.832 [1 per cell]
S 0.113 0.487 0.330 [1 per cell]
S 0.119 0.822 0.999 [1 per cell]
S 0.122 0.152 0.668 [1 per cell]
S 0.166 0.501 0.665 [1 per cell]
S 0.167 0.171 0.000 [1 per cell]
S 0.170 0.469 0.999 [1 per cell]
S 0.171 0.809 0.666 [1 per cell]
S 0.173 0.842 0.332 [1 per cell]
S 0.174 0.134 0.330 [1 per cell]
S 0.465 0.133 0.830 [1 per cell]
S 0.467 0.807 0.168 [1 per cell]
S 0.468 0.840 0.829 [1 per cell]
S 0.471 0.469 0.497 [1 per cell]
S 0.472 0.173 0.499 [1 per cell]
S 0.476 0.504 0.168 [1 per cell]
S 0.514 0.151 0.169 [1 per cell]
S 0.516 0.821 0.498 [1 per cell]
S 0.519 0.489 0.832 [1 per cell]
S 0.613 0.987 0.330 [1 per cell]
S 0.622 0.655 0.668 [1 per cell]
S 0.624 0.320 0.999 [1 per cell]
S 0.664 0.004 0.669 [1 per cell]
S 0.667 0.671 0.997 [1 per cell]
S 0.674 0.303 0.664 [1 per cell]
S 0.674 0.342 0.332 [1 per cell]
S 0.674 0.634 0.330 [1 per cell]
S 0.675 0.971 0.000 [1 per cell]
S 0.968 0.308 0.167 [1 per cell]
S 0.968 0.639 0.832 [1 per cell]
S 0.970 0.968 0.498 [1 per cell]
S 0.971 0.336 0.832 [1 per cell]
S 0.972 0.674 0.499 [1 per cell]
S 0.976 0.003 0.166 [1 per cell]
O 0.003 0.164 0.004 [1 per cell]
O 0.004 0.489 0.667 [1 per cell]
O 0.006 0.472 0.996 [1 per cell]
O 0.009 0.483 0.280 [1 per cell]
O 0.013 0.822 0.663 [1 per cell]
O 0.013 0.837 0.330 [1 per cell]
O 0.016 0.142 0.324 [1 per cell]
O 0.025 0.833 0.049 [1 per cell]
O 0.027 0.163 0.716 [1 per cell]
O 0.027 0.494 0.380 [1 per cell]
O 0.031 0.815 0.948 [1 per cell]
O 0.039 0.134 0.617 [1 per cell]
O 0.100 0.327 0.553 [1 per cell]
O 0.101 0.636 0.117 [1 per cell]
O 0.109 0.661 0.217 [1 per cell]
O 0.111 0.313 0.452 [1 per cell]
O 0.112 0.994 0.884 [1 per cell]
O 0.127 0.321 0.163 [1 per cell]
O 0.127 0.652 0.828 [1 per cell]
O 0.132 0.327 0.835 [1 per cell]
O 0.133 0.972 0.495 [1 per cell]
O 0.135 0.670 0.502 [1 per cell]
O 0.136 0.983 0.783 [1 per cell]
O 0.141 0.995 0.176 [1 per cell]
O 0.199 0.221 0.950 [1 per cell]
O 0.199 0.409 0.328 [1 per cell]
O 0.201 0.549 0.615 [1 per cell]
O 0.203 0.418 0.049 [1 per cell]
O 0.205 0.562 0.324 [1 per cell]
O 0.206 0.087 0.381 [1 per cell]
O 0.206 0.755 0.714 [1 per cell]
O 0.207 0.902 0.996 [1 per cell]
O 0.212 0.228 0.662 [1 per cell]
O 0.216 0.749 0.004 [1 per cell]
O 0.220 0.897 0.283 [1 per cell]
O 0.221 0.076 0.678 [1 per cell]
O 0.222 0.541 0.715 [1 per cell]
O 0.224 0.083 0.995 [1 per cell]
O 0.225 0.880 0.384 [1 per cell]
O 0.227 0.211 0.050 [1 per cell]
O 0.227 0.428 0.949 [1 per cell]
O 0.229 0.414 0.662 [1 per cell]
O 0.231 0.555 0.004 [1 per cell]
O 0.232 0.778 0.614 [1 per cell]
O 0.233 0.084 0.280 [1 per cell]
O 0.240 0.759 0.325 [1 per cell]
O 0.241 0.895 0.677 [1 per cell]
O 0.247 0.216 0.329 [1 per cell]
O 0.393 0.216 0.828 [1 per cell]
O 0.397 0.894 0.177 [1 per cell]
O 0.402 0.774 0.117 [1 per cell]
O 0.406 0.755 0.823 [1 per cell]
O 0.408 0.083 0.781 [1 per cell]
O 0.409 0.555 0.501 [1 per cell]
O 0.410 0.087 0.495 [1 per cell]
O 0.413 0.428 0.447 [1 per cell]
O 0.413 0.879 0.880 [1 per cell]
O 0.414 0.213 0.549 [1 per cell]
O 0.414 0.545 0.217 [1 per cell]
O 0.416 0.224 0.164 [1 per cell]
O 0.416 0.896 0.496 [1 per cell]
O 0.417 0.418 0.164 [1 per cell]
O 0.417 0.746 0.501 [1 per cell]
O 0.419 0.073 0.177 [1 per cell]
O 0.422 0.415 0.835 [1 per cell]
O 0.425 0.894 0.780 [1 per cell]
O 0.431 0.087 0.881 [1 per cell]
O 0.432 0.569 0.829 [1 per cell]
O 0.436 0.756 0.217 [1 per cell]
O 0.438 0.224 0.449 [1 per cell]
O 0.439 0.419 0.547 [1 per cell]
O 0.458 0.553 0.117 [1 per cell]
O 0.498 0.995 0.678 [1 per cell]
O 0.506 0.662 0.001 [1 per cell]
O 0.509 0.983 0.280 [1 per cell]
O 0.513 0.337 0.330 [1 per cell]
O 0.515 0.315 0.661 [1 per cell]
O 0.515 0.984 0.996 [1 per cell]
O 0.516 0.642 0.324 [1 per cell]
O 0.526 0.650 0.619 [1 per cell]
O 0.527 0.994 0.380 [1 per cell]
O 0.535 0.312 0.948 [1 per cell]
O 0.535 0.326 0.049 [1 per cell]
O 0.537 0.661 0.720 [1 per cell]
O 0.596 0.135 0.117 [1 per cell]
O 0.605 0.814 0.448 [1 per cell]
O 0.605 0.829 0.548 [1 per cell]
O 0.608 0.481 0.781 [1 per cell]
O 0.609 0.161 0.217 [1 per cell]
O 0.612 0.498 0.881 [1 per cell]
O 0.624 0.141 0.825 [1 per cell]
O 0.625 0.821 0.164 [1 per cell]
O 0.630 0.833 0.829 [1 per cell]
O 0.634 0.473 0.494 [1 per cell]
O 0.635 0.169 0.502 [1 per cell]
O 0.641 0.495 0.177 [1 per cell]
O 0.679 0.052 0.617 [1 per cell]
O 0.699 0.716 0.944 [1 per cell]
O 0.699 0.909 0.328 [1 per cell]
O 0.705 0.062 0.324 [1 per cell]
O 0.707 0.587 0.381 [1 per cell]
O 0.708 0.922 0.050 [1 per cell]
O 0.709 0.252 0.712 [1 per cell]
O 0.715 0.578 0.668 [1 per cell]
O 0.716 0.731 0.665 [1 per cell]
O 0.721 0.397 0.283 [1 per cell]
O 0.722 0.395 0.996 [1 per cell]
O 0.724 0.245 0.002 [1 per cell]
O 0.724 0.918 0.664 [1 per cell]
O 0.725 0.716 0.045 [1 per cell]
O 0.726 0.046 0.717 [1 per cell]
O 0.726 0.380 0.384 [1 per cell]
O 0.731 0.263 0.612 [1 per cell]
O 0.733 0.584 0.280 [1 per cell]
O 0.733 0.930 0.949 [1 per cell]
O 0.735 0.586 0.996 [1 per cell]
O 0.741 0.259 0.325 [1 per cell]
O 0.748 0.716 0.329 [1 per cell]
O 0.750 0.386 0.668 [1 per cell]
O 0.751 0.055 0.003 [1 per cell]
O 0.889 0.722 0.835 [1 per cell]
O 0.898 0.394 0.176 [1 per cell]
O 0.902 0.251 0.831 [1 per cell]
O 0.906 0.276 0.114 [1 per cell]
O 0.908 0.597 0.783 [1 per cell]
O 0.909 0.054 0.501 [1 per cell]
O 0.910 0.588 0.496 [1 per cell]
O 0.913 0.048 0.213 [1 per cell]
O 0.913 0.927 0.448 [1 per cell]
O 0.915 0.715 0.549 [1 per cell]
O 0.916 0.918 0.163 [1 per cell]
O 0.917 0.244 0.502 [1 per cell]
O 0.917 0.378 0.883 [1 per cell]
O 0.918 0.395 0.496 [1 per cell]
O 0.918 0.724 0.163 [1 per cell]
O 0.921 0.573 0.177 [1 per cell]
O 0.933 0.254 0.214 [1 per cell]
O 0.935 0.383 0.781 [1 per cell]
O 0.936 0.918 0.548 [1 per cell]
O 0.937 0.590 0.883 [1 per cell]
O 0.938 0.062 0.825 [1 per cell]
O 0.939 0.724 0.449 [1 per cell]
O 0.942 0.910 0.829 [1 per cell]
O 0.960 0.050 0.114 [1 per cell]

Summary:
Magnetic moment   0.000 μB/f.u.
Mass density   2.3 g/cm³
ΔE_f   -2.48 eV per atom
DFT total energy   -6.326 eV per atom

Material: TiNb2Zn2O8
Method: DFT, GGA-PBE
State: relaxed

Cell lengths 19.390, 5.930, 5.296 Å; angles 90.00, 90.44, 90.00 degrees
Space group C2/c (No. 15)
Symmetry-distinct sites (fractional):
Ti 0.000 0.133 0.250 [4 per cell]
Nb 0.114 0.353 0.770 [8 per cell]
Zn 0.220 0.151 0.266 [8 per cell]
O 0.055 0.121 0.921 [8 per cell]
O 0.065 0.363 0.413 [8 per cell]
O 0.178 0.396 0.074 [8 per cell]
O 0.193 0.151 0.643 [8 per cell]

Summary:
Magnetic moment   2.000 μB/f.u.
Mass density   5.4 g/cm³
ΔE_f   -2.62 eV per atom
DFT total energy   -7.593 eV per atom